Entry one
Material: Dy3Y
Method: DFT, r²SCAN
State: optimized geometry

Cell lengths 7.2969, 7.2969, 5.6100 Å; angles 90.00, 90.00, 120.00 degrees
Last column: nearest neighbours and their distance in Å.
Sites, in units of the cell vectors:
Dy1 0.1662 0.3324 0.2500  8 Dy 3.50-3.66, 4 Y 3.51-3.65
Dy2 0.1662 0.8338 0.2500  8 Dy 3.50-3.66, 4 Y 3.51-3.65
Dy3 0.3324 0.1662 0.7500  8 Dy 3.50-3.66, 4 Y 3.51-3.65
Dy4 0.6676 0.8338 0.2500  8 Dy 3.50-3.66, 4 Y 3.51-3.65
Dy5 0.8338 0.1662 0.7500  8 Dy 3.50-3.66, 4 Y 3.51-3.65
Dy6 0.8338 0.6676 0.7500  8 Dy 3.50-3.66, 4 Y 3.51-3.65
Y1 0.3333 0.6667 0.7500  12 Dy 3.51-3.65
Y2 0.6667 0.3333 0.2500  12 Dy 3.51-3.65

Entry two
Material: Dy3Y
Method: DFT, r²SCAN
State: optimized geometry

Cell lengths 6.1700, 6.1700, 6.1700 Å; angles 131.85, 131.85, 70.46 degrees
Last column: nearest neighbours and their distance in Å.
Sites, in units of the cell vectors:
Dy1 0.0000 0.0000 0.0000  4 Y 3.56, 8 Dy 3.56
Dy2 0.2500 0.7500 0.5000  8 Dy 3.56, 4 Y 3.56
Dy3 0.7500 0.2500 0.5000  8 Dy 3.56, 4 Y 3.56
Y1 0.5000 0.5000 0.0000  12 Dy 3.56

Quick one: most stable of them? entry one

Entry one
Material: Mg
Method: DFT, r²SCAN
State: optimized geometry

Cell lengths 3.1768, 3.1768, 10.3189 Å; angles 90.00, 90.00, 120.00 degrees
Last column: nearest neighbours and their distance in Å.
Sites, in units of the cell vectors:
Mg1 0.0000 0.0000 0.0000  12 Mg 3.17-3.18
Mg2 0.0000 0.0000 0.5000  12 Mg 3.17-3.18
Mg3 0.3333 0.6667 0.2500  12 Mg 3.17-3.18
Mg4 0.6667 0.3333 0.7500  12 Mg 3.17-3.18

Entry two
Material: Mg
Method: DFT, r²SCAN
State: optimized geometry

Cell lengths 3.1739, 3.1739, 3.1739 Å; angles 60.00, 60.00, 60.00 degrees
Last column: nearest neighbours and their distance in Å.
Sites, in units of the cell vectors:
Mg1 0.0000 0.0000 0.0000  12 Mg 3.17

Quick one: most stable of them? entry one

Entry one
Material: KTiF4
Method: DFT, r²SCAN
State: optimized geometry

Cell lengths 12.0460, 7.7106, 7.9273 Å; angles 90.00, 90.00, 90.00 degrees
Last column: nearest neighbours and their distance in Å.
Sites, in units of the cell vectors:
K1 0.0118 0.2500 0.1222  7 F 2.63-2.75
K2 0.0303 0.2500 0.6243  9 F 2.69-3.01
K3 0.4697 0.7500 0.1243  9 F 2.69-3.01
K4 0.4882 0.7500 0.6222  7 F 2.63-2.75
K5 0.5118 0.2500 0.3778  7 F 2.63-2.75
K6 0.5303 0.2500 0.8757  9 F 2.69-3.01
K7 0.9697 0.7500 0.3757  9 F 2.69-3.01
K8 0.9882 0.7500 0.8778  7 F 2.63-2.75
Ti1 0.2468 0.5009 0.3727  6 F 1.90-2.03
Ti2 0.2468 0.9991 0.3727  6 F 1.90-2.03
Ti3 0.2532 0.0009 0.8727  6 F 1.90-2.03
Ti4 0.2532 0.4991 0.8727  6 F 1.90-2.03
Ti5 0.7468 0.5009 0.1273  6 F 1.90-2.03
Ti6 0.7468 0.9991 0.1273  6 F 1.90-2.03
Ti7 0.7532 0.0009 0.6273  6 F 1.90-2.03
Ti8 0.7532 0.4991 0.6273  6 F 1.90-2.03
F1 0.0927 0.0504 0.3621  1 Ti 1.90
F2 0.0927 0.4496 0.3621  1 Ti 1.90
F3 0.0994 0.0537 0.8852  1 Ti 1.90
F4 0.0994 0.4463 0.8852  1 Ti 1.90
F5 0.2041 0.7500 0.4216  2 Ti 2.03
F6 0.2137 0.7500 0.8231  2 Ti 2.03
F7 0.2468 0.0548 0.6227  2 Ti 2.03
F8 0.2468 0.4452 0.6227  2 Ti 2.03
F9 0.2532 0.5548 0.1227  2 Ti 2.03
F10 0.2532 0.9452 0.1227  2 Ti 2.03
F11 0.2863 0.2500 0.3231  2 Ti 2.03
F12 0.2959 0.2500 0.9216  2 Ti 2.03
F13 0.4006 0.5537 0.3852  1 Ti 1.90
F14 0.4006 0.9463 0.3852  1 Ti 1.90
F15 0.4073 0.5504 0.8621  1 Ti 1.90
F16 0.4073 0.9496 0.8621  1 Ti 1.90
F17 0.5927 0.0504 0.1379  1 Ti 1.90
F18 0.5927 0.4496 0.1379  1 Ti 1.90
F19 0.5994 0.0537 0.6148  1 Ti 1.90
F20 0.5994 0.4463 0.6148  1 Ti 1.90
F21 0.7041 0.7500 0.0784  2 Ti 2.03
F22 0.7137 0.7500 0.6769  2 Ti 2.03
F23 0.7468 0.0548 0.8773  2 Ti 2.03
F24 0.7468 0.4452 0.8773  2 Ti 2.03
F25 0.7532 0.5548 0.3773  2 Ti 2.03
F26 0.7532 0.9452 0.3773  2 Ti 2.03
F27 0.7863 0.2500 0.1769  2 Ti 2.03
F28 0.7959 0.2500 0.5784  2 Ti 2.03
F29 0.9006 0.5537 0.1148  1 Ti 1.90
F30 0.9006 0.9463 0.1148  1 Ti 1.90
F31 0.9073 0.5504 0.6379  1 Ti 1.90
F32 0.9073 0.9496 0.6379  1 Ti 1.90

Entry two
Material: KTiF4
Method: DFT, r²SCAN
State: optimized geometry

Cell lengths 4.0401, 7.6361, 7.6510 Å; angles 66.57, 75.23, 75.18 degrees
Last column: nearest neighbours and their distance in Å.
Sites, in units of the cell vectors:
K1 0.0000 0.0000 0.0000  5 F 2.55-2.63
K2 0.3652 0.6210 0.6237  5 F 2.55-2.63
Ti1 0.6828 0.1168 0.5057  6 F 1.89-2.04
Ti2 0.6834 0.5042 0.1180  6 F 1.89-2.04
F1 0.1828 0.1059 0.5169  2 Ti 2.02
F2 0.1834 0.5153 0.1069  2 Ti 2.02
F3 0.5571 0.1208 0.7603  1 Ti 1.89
F4 0.5579 0.7597 0.1206  1 Ti 1.89
F5 0.5857 0.4128 0.4133  2 Ti 2.04
F6 0.7828 0.2083 0.2103  2 Ti 2.04
F7 0.8085 0.4998 0.8635  1 Ti 1.89
F8 0.8076 0.8613 0.5030  1 Ti 1.89

Quick one: most stable of them? entry one